A relaxed K2CoF6 crystal, computed with meta-GGA r2SCAN.

Calculated values
- Energy relative to the elements: -2.494 eV/atom
- Raw total energy: -0.5429 Ry per atom

a b c (Å): 5.6483 5.6483 5.6952
angles (deg): 59.72 59.72 60.55
Last column: nearest neighbours and their distance in Å.
Positions (direct):
K: 0.2500 0.2500 0.2500  12 F 2.83-2.85
K: 0.7500 0.7500 0.7500  12 F 2.83-2.85
Co: 0.0000 0.0000 0.0000  6 F 1.78-1.80
F: 0.7771 0.2229 0.2229  1 Co 1.80
F: 0.2229 0.7771 0.7771  1 Co 1.80
F: 0.2229 0.7771 0.2229  1 Co 1.80
F: 0.7771 0.2229 0.7771  1 Co 1.80
F: 0.2241 0.2241 0.7759  1 Co 1.78
F: 0.7759 0.7759 0.2241  1 Co 1.78